No. 1
Compound: NaFePO4
Source: Materials Project
Functional: PBE+U
Structure: relaxed

Theoretical density   3.391 g cm⁻³
Offset from the most stable computed form   40.4 meV/atom
Energy of formation from the pure elements   -2374 meV/atom

Lattice parameters (Å, degrees): 10.3451 6.3360 5.1940 90.00 90.00 90.00
With the nearest neighbours (Å) after each atom.
Space group Pnma (No. 62)
Unique sites:
Na: 0.0000 0.0000 0.0000 x4  4 O 2.30-2.43
Fe: 0.1625 0.2500 0.4917 x4  4 O 2.06-2.10
P: 0.1837 0.7500 0.4832 x4  4 O 1.56-1.58
O: 0.1165 0.5501 0.3724 x8  1 P 1.56
O: 0.1690 0.7500 0.7812 x4  1 P 1.56
O: 0.1704 0.2500 0.8954 x4  1 P 1.58

No. 2
Compound: RbNa3Fe7P6O24
Source: Materials Project
Functional: PBE+U
Structure: relaxed

Theoretical density   3.521 g cm⁻³
Energy of formation from the pure elements   -2378 meV/atom

Lattice parameters (Å, degrees): 13.1262 10.9370 15.9648 90.00 113.38 90.00
With the nearest neighbours (Å) after each atom.
Space group C2/c (No. 15)
Unique sites:
Rb: 0.0000 0.2464 0.2500 x4  8 O 3.04-3.39
Na: 0.0197 0.2392 0.5200 x8  4 O 2.28-2.45
Na: 0.2500 0.2500 0.0000 x4  2 O 2.30
Fe: 0.0000 0.1176 0.7500 x4  6 O 2.13-2.23
Fe: 0.0000 0.4150 0.7500 x4  6 O 2.11-2.29
Fe: 0.1841 0.4611 0.1254 x8  5 O 2.09-2.18
Fe: 0.1929 0.0006 0.1436 x8  5 O 2.09-2.19
Fe: 0.2500 0.2500 0.5000 x4  4 O 2.05-2.10
P: 0.0878 0.0011 0.4211 x8  4 O 1.55-1.57
P: 0.0931 0.4993 0.9284 x8  4 O 1.55-1.56
P: 0.2102 0.2695 0.7304 x8  4 O 1.53-1.58
O: 0.0300 0.4795 0.1378 x8  1 P 1.56
O: 0.0354 0.0130 0.6490 x8  1 P 1.57
O: 0.0871 0.2675 0.7235 x8  1 P 1.58
O: 0.1093 0.3837 0.9885 x8  1 P 1.55
O: 0.1101 0.0712 0.0098 x8  1 P 1.55
O: 0.1147 0.1388 0.4399 x8  1 P 1.55
O: 0.1408 0.3923 0.4953 x8  1 P 1.55
O: 0.1502 0.4815 0.8598 x8  1 P 1.56
O: 0.1525 0.0609 0.8690 x8  1 P 1.56
O: 0.2061 0.2826 0.1793 x8  1 P 1.53
O: 0.2123 0.1984 0.6459 x8  1 P 1.57
O: 0.2445 0.4068 0.7285 x8  1 P 1.57

No. 3
Compound: Na2TiFeP3O12
Source: Materials Project
Functional: PBE+U
Structure: relaxed

Theoretical density   2.987 g cm⁻³
Offset from the most stable computed form   0.9 meV/atom
Energy of formation from the pure elements   -2720 meV/atom

Lattice parameters (Å, degrees): 8.7337 8.8784 15.1419 106.49 90.08 119.44
With the nearest neighbours (Å) after each atom.
Space group P1 (No. 1)
Unique sites:
Na: 0.0000 0.0000 0.0000 x1  6 O 2.34-2.60
Na: 0.0099 0.7532 0.1384 x1  5 O 2.36-2.59
Na: 0.2334 0.4921 0.7690 x1  6 O 2.42-2.57
Na: 0.4716 0.9959 0.5092 x1  6 O 2.39-2.58
Na: 0.4956 0.7389 0.6349 x1  6 O 2.33-2.58
Na: 0.5513 0.7450 0.3180 x1  6 O 2.37-2.59
Na: 0.7352 0.4903 0.2682 x1  6 O 2.39-2.55
Na: 0.9335 0.2431 0.2030 x1  6 O 2.35-2.53
Ti: 0.0307 0.0640 0.6896 x1  6 O 1.91-2.02
Ti: 0.4578 0.9333 0.8382 x1  6 O 1.87-2.08
Ti: 0.7089 0.4261 0.5832 x1  6 O 1.93-2.01
Ti: 0.7725 0.5566 0.9350 x1  6 O 1.90-2.01
Fe: 0.2155 0.4319 0.0810 x1  6 O 1.95-2.10
Fe: 0.2641 0.5497 0.4380 x1  5 O 1.92-2.09
Fe: 0.5169 0.0561 0.1879 x1  6 O 1.97-2.10
Fe: 0.9706 0.9410 0.3398 x1  6 O 1.93-2.14
P: 0.1541 0.7444 0.6375 x1  4 O 1.54-1.56
P: 0.2177 0.7380 0.2820 x1  4 O 1.54-1.55
P: 0.2223 0.7414 0.9894 x1  4 O 1.52-1.57
P: 0.2662 0.2529 0.5357 x1  4 O 1.52-1.56
P: 0.2668 0.2469 0.2403 x1  4 O 1.53-1.56
P: 0.3294 0.2459 0.8861 x1  4 O 1.52-1.56
P: 0.6623 0.7515 0.1347 x1  4 O 1.53-1.57
P: 0.7269 0.7457 0.4925 x1  4 O 1.53-1.56
P: 0.7266 0.7471 0.7811 x1  4 O 1.54-1.56
P: 0.7589 0.2381 0.7406 x1  4 O 1.54-1.55
P: 0.7647 0.2495 0.0314 x1  4 O 1.54-1.57
P: 0.8189 0.2366 0.3873 x1  4 O 1.54-1.56
O: 0.0089 0.4020 0.4040 x1  1 P 1.54
O: 0.0373 0.7272 0.9754 x1  1 P 1.57
O: 0.0503 0.7553 0.2929 x1  1 P 1.55
O: 0.1109 0.0745 0.2562 x1  1 P 1.56
O: 0.1382 0.9170 0.6599 x1  1 P 1.55
O: 0.1493 0.0848 0.4512 x1  1 P 1.52
O: 0.1542 0.5595 0.1986 x1  1 P 1.55
O: 0.1836 0.2323 0.6259 x1  1 P 1.56
O: 0.1898 0.2530 0.1495 x1  1 P 1.56
O: 0.1988 0.5672 0.0016 x1  1 P 1.52
O: 0.2232 0.2353 0.8007 x1  1 P 1.54
O: 0.2353 0.2509 0.9704 x1  1 P 1.52
O: 0.2560 0.7392 0.5545 x1  1 P 1.54
O: 0.2655 0.7541 0.7215 x1  1 P 1.56
O: 0.2930 0.7325 0.3732 x1  1 P 1.55
O: 0.2948 0.4332 0.5269 x1  1 P 1.54
O: 0.3040 0.7615 0.8991 x1  1 P 1.56
O: 0.3193 0.4236 0.3229 x1  1 P 1.55
O: 0.3314 0.9118 0.0750 x1  1 P 1.53
O: 0.3483 0.0738 0.8618 x1  1 P 1.56
O: 0.3728 0.9022 0.2616 x1  1 P 1.54
O: 0.4361 0.2363 0.2293 x1  1 P 1.53
O: 0.4484 0.2640 0.5499 x1  1 P 1.56
O: 0.4738 0.5870 0.1209 x1  1 P 1.53
O: 0.5188 0.4169 0.9058 x1  1 P 1.55
O: 0.5475 0.7416 0.4844 x1  1 P 1.55
O: 0.5549 0.7583 0.7911 x1  1 P 1.56
O: 0.6078 0.0601 0.7532 x1  1 P 1.55
O: 0.6332 0.0809 0.9455 x1  1 P 1.57
O: 0.6640 0.9319 0.1528 x1  1 P 1.54
O: 0.6750 0.5773 0.6954 x1  1 P 1.54
O: 0.6889 0.2412 0.1226 x1  1 P 1.54
O: 0.6957 0.2578 0.6516 x1  1 P 1.54
O: 0.7013 0.5738 0.5128 x1  1 P 1.55
O: 0.7191 0.2328 0.3016 x1  1 P 1.55
O: 0.7247 0.2584 0.4733 x1  1 P 1.56
O: 0.7612 0.7303 0.0500 x1  1 P 1.57
O: 0.7694 0.7560 0.2192 x1  1 P 1.56
O: 0.7910 0.7311 0.8710 x1  1 P 1.54
O: 0.7929 0.4256 0.0147 x1  1 P 1.55
O: 0.7983 0.7512 0.4002 x1  1 P 1.53
O: 0.8016 0.4060 0.8266 x1  1 P 1.55
O: 0.8189 0.0566 0.3693 x1  1 P 1.54
O: 0.8513 0.9159 0.5783 x1  1 P 1.56
O: 0.8765 0.9204 0.7647 x1  1 P 1.54
O: 0.9318 0.2315 0.7314 x1  1 P 1.55
O: 0.9392 0.2473 0.0392 x1  1 P 1.54
O: 0.9666 0.5726 0.6177 x1  1 P 1.54

No. 4
Compound: Na2TiFeP3O12
Source: Materials Project
Functional: PBE+U
Structure: relaxed

Theoretical density   2.972 g cm⁻³
Offset from the most stable computed form   40.3 meV/atom
Energy of formation from the pure elements   -2680 meV/atom

Lattice parameters (Å, degrees): 9.9036 9.9036 9.9036 90.00 90.00 90.00
With the nearest neighbours (Å) after each atom.
Space group P2_13 (No. 198)
Unique sites:
Na: 0.0427 0.4573 0.5427 x4  9 O 2.86-3.09
Na: 0.1762 0.1762 0.1762 x4  9 O 2.80-3.07
Ti: 0.1086 0.6086 0.8914 x4  6 O 1.95-2.00
Fe: 0.1635 0.8365 0.3365 x4  6 O 1.97-2.00
P: 0.0252 0.2909 0.8797 x12  4 O 1.52-1.57
O: 0.0100 0.9464 0.2644 x12  1 P 1.53
O: 0.0154 0.4401 0.8292 x12  1 P 1.56
O: 0.0452 0.6997 0.7293 x12  1 P 1.57
O: 0.0955 0.6724 0.2459 x12  1 P 1.52

No. 5
Compound: Na2TiFeP3O12
Source: Materials Project
Functional: PBE+U
Structure: relaxed

Theoretical density   2.977 g cm⁻³
Offset from the most stable computed form   0.0 meV/atom
Energy of formation from the pure elements   -2720 meV/atom

Lattice parameters (Å, degrees): 15.1563 8.7560 8.8693 90.00 124.53 90.00
With the nearest neighbours (Å) after each atom.
Space group C2 (No. 5)
Unique sites:
Na: 0.1850 0.0000 0.0000 x4  6 O 2.34-2.60
Na: 0.2460 0.3203 0.2514 x4  6 O 2.44-2.52
Ti: 0.1065 0.8154 0.3188 x4  6 O 1.93-1.98
Fe: 0.0968 0.3194 0.8018 x4  5 O 1.91-2.09
P: 0.0000 0.0244 0.5000 x2  4 O 1.54-1.55
P: 0.0000 0.1064 0.0000 x2  4 O 1.54-1.56
P: 0.1429 0.6698 0.9999 x4  4 O 1.54-1.56
P: 0.1474 0.4631 0.5032 x4  4 O 1.54-1.55
O: 0.0398 0.7393 0.8303 x4  1 P 1.55
O: 0.0468 0.3949 0.3323 x4  1 P 1.54
O: 0.0670 0.0011 0.1702 x4  1 P 1.56
O: 0.0708 0.1202 0.6756 x4  1 P 1.54
O: 0.0772 0.9205 0.4832 x4  1 P 1.55
O: 0.0822 0.2028 0.9916 x4  1 P 1.54
O: 0.1446 0.7111 0.1713 x4  1 P 1.55
O: 0.1513 0.6391 0.4841 x4  1 P 1.55
O: 0.1524 0.4953 0.9925 x4  1 P 1.54
O: 0.1532 0.4345 0.6804 x4  1 P 1.54
O: 0.2377 0.7463 0.0064 x4  1 P 1.56
O: 0.2451 0.3908 0.5166 x4  1 P 1.55

No. 6
Compound: Na2Ti3FeP6O24
Source: Materials Project
Functional: PBE+U
Structure: relaxed

Theoretical density   2.889 g cm⁻³
Energy of formation from the pure elements   -2788 meV/atom

Lattice parameters (Å, degrees): 8.5197 8.5197 22.3634 90.00 90.00 120.00
With the nearest neighbours (Å) after each atom.
Space group R3 (No. 146, hexagonal axes)
Unique sites:
Na: 0.0000 0.0000 0.0000 x3  6 O 2.52-2.67
Na: 0.0000 0.0000 0.4971 x3  6 O 2.53-2.55
Ti: 0.0000 0.0000 0.3522 x3  6 O 1.92-1.99
Ti: 0.0000 0.0000 0.6428 x3  6 O 1.90-1.97
Ti: 0.0000 0.0000 0.8504 x3  6 O 1.92-2.00
Fe: 0.0000 0.0000 0.1443 x3  6 O 1.99-2.05
P: 0.0005 0.2867 0.7473 x9  4 O 1.54-1.55
P: 0.0036 0.7162 0.2468 x9  4 O 1.53-1.55
O: 0.0032 0.1874 0.6898 x9  1 P 1.55
O: 0.0097 0.8242 0.5880 x9  1 P 1.55
O: 0.0577 0.8490 0.9044 x9  1 P 1.55
O: 0.0638 0.8454 0.1934 x9  1 P 1.53
O: 0.1498 0.6741 0.9715 x9  1 P 1.55
O: 0.1535 0.4817 0.0747 x9  1 P 1.54
O: 0.1764 0.4611 0.4682 x9  1 P 1.55
O: 0.1896 0.4548 0.7536 x9  1 P 1.54

No. 7
Compound: Na2ZnFe2P3O12
Source: Materials Project
Functional: PBE+U
Structure: relaxed

Theoretical density   3.729 g cm⁻³
Energy of formation from the pure elements   -2397 meV/atom

Lattice parameters (Å, degrees): 11.8946 12.6308 6.5866 90.00 113.89 90.00
With the nearest neighbours (Å) after each atom.
Space group C2/c (No. 15)
Unique sites:
Na: 0.0000 0.0000 0.0000 x4  6 O 2.35-2.56
Na: 0.0000 0.4855 0.2500 x4  4 O 2.43-2.60
Zn: 0.0000 0.2307 0.7500 x4  6 O 2.13-2.24
Fe: 0.2192 0.3378 0.6265 x8  6 O 1.97-2.16
P: 0.0000 0.2111 0.2500 x4  4 O 1.54-1.57
P: 0.2348 0.3908 0.1191 x8  4 O 1.55-1.57
O: 0.0406 0.2827 0.4620 x8  1 P 1.57
O: 0.1024 0.1355 0.2529 x8  1 P 1.54
O: 0.1268 0.1023 0.8315 x8  1 P 1.55
O: 0.1602 0.3357 0.8895 x8  1 P 1.57
O: 0.1738 0.4992 0.6080 x8  1 P 1.55
O: 0.2206 0.3244 0.3076 x8  1 P 1.56

no.,calculated total energy (Ha/atom)
1,-0.245
2,-0.252
3,-0.263
4,-0.261
5,-0.263
6,-0.273
7,-0.242